The following is a GGA+U calculation of a relaxed structure of NaMo3P3O16, from the Materials Project database.

* energy of formation from the pure elements: -2.3549 eV per atom
* final energy: -7.08 eV/atom
* corrected total energy (MP2020 scheme): -7.98 eV per atom

a b c (Å): 6.5019 7.7847 13.0052
angles (deg): 80.01 79.20 82.98
Fractional positions:
Mo 0.7969 0.7837 0.4601
O 0.7004 0.9485 0.5718
P 0.0643 0.4836 0.3161
P 0.6922 0.1451 0.5780
O 0.8645 0.5750 0.3773
O 0.1311 0.9830 0.1378
O 0.6226 0.2636 0.9883
Mo 0.4037 0.7570 0.1634
O 0.5759 0.9667 0.1026
O 0.9136 0.6892 0.9829
Mo 0.5963 0.2430 0.8366
O 0.8406 0.3916 0.7824
O 0.1021 0.7767 0.4781
O 0.7416 0.2007 0.1650
O 0.5186 0.2550 0.5205
O 0.8042 0.9510 0.3557
O 0.3579 0.2384 0.1613
O 0.1594 0.6084 0.2176
O 0.9807 0.3338 0.2717
Na 0.4009 0.6623 0.6710
O 0.7748 0.5936 0.6115
O 0.8979 0.2233 0.5219
O 0.1958 0.0490 0.6443
Na 0.5991 0.3377 0.3290
O 0.4241 0.0333 0.8974
O 0.2584 0.7993 0.8350
O 0.0193 0.6662 0.7283
O 0.2996 0.0515 0.4282
P 0.9357 0.5164 0.6839
O 0.4814 0.7450 0.4795
P 0.5731 0.1646 0.1018
Mo 0.9413 0.7935 0.8558
O 0.6434 0.1588 0.6963
O 0.8689 0.0170 0.8622
O 0.3566 0.8412 0.3037
O 0.3774 0.7364 0.0117
P 0.3078 0.8549 0.4220
O 0.0864 0.3108 0.0171
O 0.2252 0.4064 0.3885
O 0.6421 0.7616 0.8387
O 0.1355 0.4250 0.6227
O 0.6001 0.5952 0.1843
O 0.3999 0.4048 0.8157
P 0.4269 0.8354 0.8982
Mo 0.0587 0.2065 0.1442
Mo 0.2031 0.2163 0.5399

=====

The following is a GGA+U calculation of a relaxed structure of NaMo2P3O13, from the Materials Project database.

* offset from the most stable computed form: 5 meV/atom
* energy of formation from the pure elements: -2.4378 eV per atom
* final energy: -7.08 eV/atom
* corrected total energy (MP2020 scheme): -7.89 eV per atom

a b c (Å): 6.4652 7.5869 11.3578
angles (deg): 75.45 85.34 79.39
Fractional positions:
P 0.8787 0.5306 0.6880
O 0.7793 0.8921 0.2155
O 0.9222 0.2152 0.5702
O 0.7480 0.6553 0.5818
O 0.9030 0.1939 0.1059
O 0.2520 0.3447 0.4182
O 0.5261 0.2711 0.6033
O 0.7643 0.6307 0.0439
Na 0.6791 0.4136 0.2287
O 0.5274 0.1960 0.1324
O 0.8937 0.5414 0.3463
O 0.2207 0.1079 0.7845
O 0.1063 0.4586 0.6537
Mo 0.7606 0.8045 0.4039
O 0.4726 0.8040 0.8676
O 0.2452 0.9831 0.2480
O 0.8687 0.6197 0.7945
O 0.7548 0.0169 0.7520
O 0.2357 0.3693 0.9561
O 0.2679 0.9875 0.0099
P 0.7370 0.0672 0.1111
Mo 0.7827 0.7945 0.9098
P 0.2620 0.7963 0.3352
O 0.7321 0.0125 0.9901
O 0.1313 0.3803 0.2055
O 0.3103 0.9740 0.5819
O 0.6897 0.0260 0.4181
Na 0.3209 0.5864 0.7713
O 0.0778 0.7848 0.4298
O 0.2469 0.6423 0.2594
O 0.4739 0.7289 0.3967
O 0.0970 0.8061 0.8941
P 0.2630 0.9328 0.8889
P 0.7380 0.2037 0.6648
O 0.7531 0.3577 0.7406
Mo 0.2394 0.1955 0.5961
Mo 0.2173 0.2055 0.0902
P 0.1213 0.4694 0.3120

=====

The following is a GGA+U calculation of a relaxed structure of NaMo2P3O13, from the Materials Project database.

* offset from the most stable computed form: 0 meV/atom
* energy of formation from the pure elements: -2.4431 eV per atom
* final energy: -7.09 eV/atom
* corrected total energy (MP2020 scheme): -7.89 eV per atom

a b c (Å): 22.6956 6.4772 8.7915
angles (deg): 53.84 90.00 90.00
Fractional positions:
P 0.5829 0.4710 0.1498
Mo 0.5635 0.5511 0.7230
O 0.0662 0.8146 0.7016
O 0.5577 0.8671 0.7255
O 0.2612 0.4897 0.8114
O 0.0236 0.4860 0.2900
O 0.6246 0.3188 0.3156
Mo 0.4365 0.4489 0.2770
O 0.5662 0.1854 0.7984
O 0.4338 0.8146 0.2016
O 0.9216 0.3671 0.5328
Mo 0.2077 0.7458 0.0405
O 0.4393 0.2792 0.5172
P 0.4171 0.5290 0.8502
P 0.7968 0.6408 0.0861
O 0.1889 0.4240 0.0556
P 0.2032 0.3592 0.9139
O 0.8466 0.5483 0.2333
O 0.6534 0.5483 0.7333
O 0.9423 0.8671 0.2255
O 0.2763 0.8188 0.9418
P 0.0987 0.0206 0.7022
O 0.9764 0.5140 0.7100
O 0.3879 0.2422 0.9817
O 0.3409 0.9422 0.2944
Na 0.6326 0.9655 0.2038
Mo 0.7923 0.2542 0.9595
Mo 0.0635 0.4489 0.7770
P 0.2968 0.3592 0.4139
O 0.2388 0.4897 0.3114
O 0.1246 0.6812 0.1844
O 0.5784 0.3671 0.0328
P 0.4013 0.0206 0.2022
O 0.6591 0.0578 0.7056
O 0.8754 0.3188 0.8156
O 0.0784 0.6329 0.4672
O 0.4764 0.4860 0.7900
P 0.0829 0.5290 0.3502
O 0.3111 0.4240 0.5556
P 0.9171 0.4710 0.6498
P 0.5987 0.9794 0.7978
O 0.4216 0.6329 0.9672
O 0.0577 0.1329 0.7745
O 0.1534 0.4517 0.7667
O 0.2237 0.8188 0.4418
Na 0.8674 0.9655 0.7038
O 0.4423 0.1329 0.2745
O 0.3754 0.6812 0.6844
Na 0.1326 0.0345 0.2962
O 0.6889 0.5760 0.4444
O 0.7388 0.5103 0.1886
O 0.1591 0.9422 0.7944
O 0.7763 0.1812 0.5582
O 0.5236 0.5140 0.2100
O 0.0607 0.2792 0.0172
O 0.7067 0.9356 0.4569
O 0.1121 0.2422 0.4817
O 0.3466 0.4517 0.2667
O 0.9338 0.1854 0.2984
O 0.2933 0.0644 0.5431
Na 0.3674 0.0345 0.7962
O 0.9393 0.7208 0.9828
O 0.8879 0.7578 0.5183
O 0.2067 0.0644 0.0431
O 0.7933 0.9356 0.9569
Mo 0.2923 0.7458 0.5405
O 0.8111 0.5760 0.9444
P 0.7032 0.6408 0.5861
O 0.8409 0.0578 0.2056
O 0.7612 0.5103 0.6886
O 0.6121 0.7578 0.0183
O 0.5607 0.7208 0.4828
Mo 0.7077 0.2542 0.4595
O 0.7237 0.1812 0.0582
P 0.9013 0.9794 0.2978
Mo 0.9365 0.5511 0.2230

=====

The following is a GGA+U calculation of a relaxed structure of NaMo2P3O12, from the Materials Project database.

* energy of formation from the pure elements: -2.4769 eV per atom
* final energy: -7.14 eV/atom
* corrected total energy (MP2020 scheme): -7.96 eV per atom

a b c (Å): 9.0658 9.0658 9.0658
angles (deg): 58.23 58.23 58.23
Fractional positions:
P 0.2500 0.5394 0.9606
O 0.2793 0.0622 0.9174
O 0.5622 0.7793 0.4174
O 0.0091 0.7878 0.6229
O 0.9378 0.0826 0.7207
Mo 0.8557 0.8557 0.8557
Na 0.5000 0.5000 0.5000
O 0.4909 0.8771 0.7122
P 0.7500 0.4606 0.0394
O 0.8771 0.7122 0.4909
P 0.9606 0.2500 0.5394
O 0.0826 0.7207 0.9378
O 0.6229 0.0091 0.7878
O 0.7122 0.4909 0.8771
O 0.4378 0.2207 0.5826
O 0.7207 0.9378 0.0826
P 0.4606 0.0394 0.7500
O 0.2207 0.5826 0.4378
O 0.9174 0.2793 0.0622
O 0.0622 0.9174 0.2793
Mo 0.1443 0.1443 0.1443
O 0.3771 0.9909 0.2122
O 0.2878 0.5091 0.1229
O 0.2122 0.3771 0.9909
O 0.1229 0.2878 0.5091
Mo 0.6443 0.6443 0.6443
P 0.5394 0.9606 0.2500
O 0.5091 0.1229 0.2878
Mo 0.3557 0.3557 0.3557
O 0.7878 0.6229 0.0091
O 0.9909 0.2122 0.3771
O 0.4174 0.5622 0.7793
Na 0.0000 0.0000 0.0000
P 0.0394 0.7500 0.4606
O 0.5826 0.4378 0.2207
O 0.7793 0.4174 0.5622